No. 1
Here is a relaxed structure of Na3Sr2Ti3Si4O18 from Materials Project. Energies are from GGA-PBE.

magnetization	1.00	μB/f.u.
symmetry	C2/m
energy	-223.76	eV for the cell shown
E_form	-3.144	eV/atom
ρ	3.4	g cm⁻³

a b c (Å): 10.5596 10.5596 5.4326
angles (deg): 96.47 96.47 39.65
With the nearest neighbours (Å) after each atom.
Atoms (fractional coordinates):
Na (0.0000, 0.0000, 0.0000)  6 O 2.30-2.52
Na (0.2581, 0.7419, 0.5000)  6 O 2.28-2.40
Na (0.7419, 0.2581, 0.5000)  6 O 2.28-2.40
Sr (0.2836, 0.2836, 0.2608)  10 O 2.72-2.89
Sr (0.7164, 0.7164, 0.7392)  10 O 2.72-2.89
Ti (0.1491, 0.1491, 0.7056)  1 O 1.68
Ti (0.5000, 0.5000, 0.0000)  6 O 1.85-2.07
Ti (0.8509, 0.8509, 0.2944)  1 O 1.68
Si (0.1416, 0.5740, 0.7988)  4 O 1.61-1.68
Si (0.4260, 0.8584, 0.2012)  4 O 1.61-1.68
Si (0.5740, 0.1416, 0.7988)  4 O 1.61-1.68
Si (0.8584, 0.4260, 0.2012)  4 O 1.61-1.68
O (0.0124, 0.6342, 0.0286)  1 Si 1.64
O (0.0158, 0.6340, 0.5345)  1 Si 1.65
O (0.0637, 0.0637, 0.6733)  1 Ti 1.68
O (0.2304, 0.6487, 0.8298)  1 Si 1.61
O (0.3242, 0.3242, 0.7812)  2 Si 1.68
O (0.3513, 0.7696, 0.1702)  1 Si 1.61
O (0.3660, 0.9842, 0.4655)  1 Si 1.65
O (0.3658, 0.9876, 0.9714)  1 Si 1.64
O (0.4440, 0.4440, 0.2479)  1 Ti 1.85
O (0.5560, 0.5560, 0.7521)  1 Ti 1.85
O (0.6342, 0.0124, 0.0286)  1 Si 1.64
O (0.6340, 0.0158, 0.5345)  1 Si 1.65
O (0.6487, 0.2304, 0.8298)  1 Si 1.61
O (0.6758, 0.6758, 0.2188)  2 Si 1.68
O (0.7696, 0.3513, 0.1702)  1 Si 1.61
O (0.9363, 0.9363, 0.3267)  1 Ti 1.68
O (0.9842, 0.3660, 0.4655)  1 Si 1.65
O (0.9876, 0.3658, 0.9714)  1 Si 1.64

No. 2
Here is a relaxed structure of Dy2Fe14B from Materials Project. Energies are from GGA-PBE.

magnetization	31.08	μB/f.u.
symmetry	P4_2/mnm
energy	-545.30	eV for the cell shown
E_form	-0.109	eV/atom
ρ	8.2	g cm⁻³

a b c (Å): 8.7300 8.7300 11.8995
angles (deg): 90.00 90.00 90.00
With the nearest neighbours (Å) after each atom.
Atoms (fractional coordinates):
Dy (0.1436, 0.1436, 0.0000)  1 B 2.86, 10 Fe 3.03-3.21
Dy (0.2328, 0.2328, 0.5000)  16 Fe 2.99-3.19, 2 B 3.26
Dy (0.2672, 0.7328, 0.0000)  16 Fe 2.99-3.19, 2 B 3.26
Dy (0.3564, 0.6436, 0.5000)  1 B 2.86, 10 Fe 3.03-3.21
Dy (0.6436, 0.3564, 0.5000)  1 B 2.86, 10 Fe 3.03-3.21
Dy (0.7328, 0.2672, 0.0000)  16 Fe 2.99-3.19, 2 B 3.26
Dy (0.7672, 0.7672, 0.5000)  16 Fe 2.99-3.19, 2 B 3.26
Dy (0.8564, 0.8564, 0.0000)  1 B 2.86, 10 Fe 3.03-3.21
Fe (0.0000, 0.0000, 0.3841)  2 B 2.07
Fe (0.0000, 0.0000, 0.6159)  2 B 2.07
Fe (0.0000, 0.5000, 0.0000)  8 Fe 2.44-2.54
Fe (0.0000, 0.5000, 0.5000)  8 Fe 2.44-2.54
Fe (0.0370, 0.6411, 0.1747)  10 Fe 2.36-2.63
Fe (0.0370, 0.6411, 0.8253)  10 Fe 2.36-2.63
Fe (0.0662, 0.7245, 0.3738)  1 B 2.06
Fe (0.0662, 0.7245, 0.6262)  1 B 2.06
Fe (0.0973, 0.9027, 0.2004)  8 Fe 2.36-2.64
Fe (0.0973, 0.9027, 0.7996)  8 Fe 2.36-2.64
Fe (0.1411, 0.4630, 0.3253)  10 Fe 2.36-2.63
Fe (0.1411, 0.4630, 0.6747)  10 Fe 2.36-2.63
Fe (0.1829, 0.1829, 0.2541)  12 Fe 2.61-2.77
Fe (0.1829, 0.1829, 0.7459)  12 Fe 2.61-2.77
Fe (0.2245, 0.4338, 0.1262)  1 B 2.06
Fe (0.2245, 0.4338, 0.8738)  1 B 2.06
Fe (0.2755, 0.9338, 0.3738)  1 B 2.06
Fe (0.2755, 0.9338, 0.6262)  1 B 2.06
Fe (0.3171, 0.6829, 0.2459)  12 Fe 2.61-2.77
Fe (0.3171, 0.6829, 0.7541)  12 Fe 2.61-2.77
Fe (0.3589, 0.9630, 0.1747)  10 Fe 2.36-2.63
Fe (0.3589, 0.9630, 0.8253)  10 Fe 2.36-2.63
Fe (0.4027, 0.4027, 0.2996)  8 Fe 2.36-2.64
Fe (0.4027, 0.4027, 0.7004)  8 Fe 2.36-2.64
Fe (0.4338, 0.2245, 0.1262)  1 B 2.06
Fe (0.4338, 0.2245, 0.8738)  1 B 2.06
Fe (0.4630, 0.1411, 0.3253)  10 Fe 2.36-2.63
Fe (0.4630, 0.1411, 0.6747)  10 Fe 2.36-2.63
Fe (0.5000, 0.0000, 0.0000)  8 Fe 2.44-2.54
Fe (0.5000, 0.0000, 0.5000)  8 Fe 2.44-2.54
Fe (0.5000, 0.5000, 0.1159)  2 B 2.07
Fe (0.5000, 0.5000, 0.8841)  2 B 2.07
Fe (0.5370, 0.8589, 0.3253)  10 Fe 2.36-2.63
Fe (0.5370, 0.8589, 0.6747)  10 Fe 2.36-2.63
Fe (0.5662, 0.7755, 0.1262)  1 B 2.06
Fe (0.5662, 0.7755, 0.8738)  1 B 2.06
Fe (0.5973, 0.5973, 0.2996)  8 Fe 2.36-2.64
Fe (0.5973, 0.5973, 0.7004)  8 Fe 2.36-2.64
Fe (0.6411, 0.0370, 0.1747)  10 Fe 2.36-2.63
Fe (0.6411, 0.0370, 0.8253)  10 Fe 2.36-2.63
Fe (0.6829, 0.3171, 0.2459)  12 Fe 2.61-2.77
Fe (0.6829, 0.3171, 0.7541)  12 Fe 2.61-2.77
Fe (0.7245, 0.0662, 0.3738)  1 B 2.06
Fe (0.7245, 0.0662, 0.6262)  1 B 2.06
Fe (0.7755, 0.5662, 0.1262)  1 B 2.06
Fe (0.7755, 0.5662, 0.8738)  1 B 2.06
Fe (0.8171, 0.8171, 0.2541)  12 Fe 2.61-2.77
Fe (0.8171, 0.8171, 0.7459)  12 Fe 2.61-2.77
Fe (0.8589, 0.5370, 0.3253)  10 Fe 2.36-2.63
Fe (0.8589, 0.5370, 0.6747)  10 Fe 2.36-2.63
Fe (0.9027, 0.0973, 0.2004)  8 Fe 2.36-2.64
Fe (0.9027, 0.0973, 0.7996)  8 Fe 2.36-2.64
Fe (0.9338, 0.2755, 0.3738)  1 B 2.06
Fe (0.9338, 0.2755, 0.6262)  1 B 2.06
Fe (0.9630, 0.3589, 0.1747)  10 Fe 2.36-2.63
Fe (0.9630, 0.3589, 0.8253)  10 Fe 2.36-2.63
B (0.1245, 0.8755, 0.5000)  6 Fe 2.06-2.07
B (0.3755, 0.3755, 0.0000)  6 Fe 2.06-2.07
B (0.6245, 0.6245, 0.0000)  6 Fe 2.06-2.07
B (0.8755, 0.1245, 0.5000)  6 Fe 2.06-2.07

No. 3
Here is a relaxed structure of Y11Ni60C6 from Materials Project. Energies are from GGA-PBE.

magnetization	1.10	μB/f.u.
symmetry	Im-3m
energy	-493.55	eV for the cell shown
E_form	-0.263	eV/atom
ρ	7.8	g cm⁻³

a b c (Å): 10.7933 10.7933 10.7933
angles (deg): 109.47 109.47 109.47
With the nearest neighbours (Å) after each atom.
Atoms (fractional coordinates):
Y (0.0000, 0.0000, 0.3369)  15 Ni 2.85-2.99
Y (0.0000, 0.0000, 0.6631)  15 Ni 2.85-2.99
Y (0.0000, 0.3369, 0.0000)  15 Ni 2.85-2.99
Y (0.0000, 0.5000, 0.5000)  2 C 2.64, 8 Ni 2.88
Y (0.0000, 0.6631, 0.0000)  15 Ni 2.85-2.99
Y (0.3369, 0.0000, 0.0000)  15 Ni 2.85-2.99
Y (0.3369, 0.3369, 0.3369)  15 Ni 2.85-2.99
Y (0.5000, 0.0000, 0.5000)  2 C 2.64, 8 Ni 2.88
Y (0.5000, 0.5000, 0.0000)  2 C 2.64, 8 Ni 2.88
Y (0.6631, 0.0000, 0.0000)  15 Ni 2.85-2.99
Y (0.6631, 0.6631, 0.6631)  15 Ni 2.85-2.99
Ni (0.0000, 0.1415, 0.1415)  1 C 1.83
Ni (0.0000, 0.2337, 0.5817)  7 Ni 2.30-2.51
Ni (0.0000, 0.4183, 0.7663)  7 Ni 2.30-2.51
Ni (0.0000, 0.5817, 0.2337)  7 Ni 2.30-2.51
Ni (0.0000, 0.7663, 0.4183)  7 Ni 2.30-2.51
Ni (0.0000, 0.8585, 0.8585)  1 C 1.83
Ni (0.1415, 0.0000, 0.1415)  1 C 1.83
Ni (0.1415, 0.1415, 0.0000)  1 C 1.83
Ni (0.1469, 0.3219, 0.4688)  1 C 1.88
Ni (0.1469, 0.4688, 0.3219)  1 C 1.88
Ni (0.1469, 0.6781, 0.8251)  1 C 1.88
Ni (0.1469, 0.8251, 0.6781)  1 C 1.88
Ni (0.1749, 0.3219, 0.8531)  1 C 1.88
Ni (0.1749, 0.8531, 0.3219)  1 C 1.88
Ni (0.2337, 0.0000, 0.5817)  7 Ni 2.30-2.51
Ni (0.2337, 0.2337, 0.6520)  7 Ni 2.30-2.51
Ni (0.2337, 0.5817, 0.0000)  7 Ni 2.30-2.51
Ni (0.2337, 0.6520, 0.2337)  7 Ni 2.30-2.51
Ni (0.2500, 0.5000, 0.7500)  12 Ni 2.57-2.63
Ni (0.2500, 0.7500, 0.5000)  12 Ni 2.57-2.63
Ni (0.3219, 0.1469, 0.4688)  1 C 1.88
Ni (0.3219, 0.1749, 0.8531)  1 C 1.88
Ni (0.3219, 0.4688, 0.1469)  1 C 1.88
Ni (0.3219, 0.8531, 0.1749)  1 C 1.88
Ni (0.3480, 0.5817, 0.5817)  7 Ni 2.30-2.51
Ni (0.3480, 0.7663, 0.7663)  7 Ni 2.30-2.51
Ni (0.4183, 0.0000, 0.7663)  7 Ni 2.30-2.51
Ni (0.4183, 0.4183, 0.6520)  7 Ni 2.30-2.51
Ni (0.4183, 0.6520, 0.4183)  7 Ni 2.30-2.51
Ni (0.4183, 0.7663, 0.0000)  7 Ni 2.30-2.51
Ni (0.4688, 0.1469, 0.3219)  1 C 1.88
Ni (0.4688, 0.3219, 0.1469)  1 C 1.88
Ni (0.5000, 0.2500, 0.7500)  12 Ni 2.57-2.63
Ni (0.5000, 0.7500, 0.2500)  12 Ni 2.57-2.63
Ni (0.5312, 0.6781, 0.8531)  1 C 1.88
Ni (0.5312, 0.8531, 0.6781)  1 C 1.88
Ni (0.5817, 0.0000, 0.2337)  7 Ni 2.30-2.51
Ni (0.5817, 0.2337, 0.0000)  7 Ni 2.30-2.51
Ni (0.5817, 0.3480, 0.5817)  7 Ni 2.30-2.51
Ni (0.5817, 0.5817, 0.3480)  7 Ni 2.30-2.51
Ni (0.6520, 0.2337, 0.2337)  7 Ni 2.30-2.51
Ni (0.6520, 0.4183, 0.4183)  7 Ni 2.30-2.51
Ni (0.6781, 0.1469, 0.8251)  1 C 1.88
Ni (0.6781, 0.5312, 0.8531)  1 C 1.88
Ni (0.6781, 0.8251, 0.1469)  1 C 1.88
Ni (0.6781, 0.8531, 0.5312)  1 C 1.88
Ni (0.7500, 0.2500, 0.5000)  12 Ni 2.57-2.63
Ni (0.7500, 0.5000, 0.2500)  12 Ni 2.57-2.63
Ni (0.7663, 0.0000, 0.4183)  7 Ni 2.30-2.51
Ni (0.7663, 0.3480, 0.7663)  7 Ni 2.30-2.51
Ni (0.7663, 0.4183, 0.0000)  7 Ni 2.30-2.51
Ni (0.7663, 0.7663, 0.3480)  7 Ni 2.30-2.51
Ni (0.8251, 0.1469, 0.6781)  1 C 1.88
Ni (0.8251, 0.6781, 0.1469)  1 C 1.88
Ni (0.8531, 0.1749, 0.3219)  1 C 1.88
Ni (0.8531, 0.3219, 0.1749)  1 C 1.88
Ni (0.8531, 0.5312, 0.6781)  1 C 1.88
Ni (0.8531, 0.6781, 0.5312)  1 C 1.88
Ni (0.8585, 0.0000, 0.8585)  1 C 1.83
Ni (0.8585, 0.8585, 0.0000)  1 C 1.83
C (0.0000, 0.2884, 0.2884)  5 Ni 1.83-1.88
C (0.0000, 0.7116, 0.7116)  5 Ni 1.83-1.88
C (0.2884, 0.0000, 0.2884)  5 Ni 1.83-1.88
C (0.2884, 0.2884, 0.0000)  5 Ni 1.83-1.88
C (0.7116, 0.0000, 0.7116)  5 Ni 1.83-1.88
C (0.7116, 0.7116, 0.0000)  5 Ni 1.83-1.88

No. 4
Here is a relaxed structure of SrI2O15 from Materials Project. Energies are from GGA-PBE.

magnetization	5.00	μB/f.u.
symmetry	P-1
energy	-162.24	eV for the cell shown
E_form	-0.254	eV/atom
ρ	2.7	g cm⁻³

a b c (Å): 6.2302 10.6741 10.8222
angles (deg): 85.35 80.56 87.70
With the nearest neighbours (Å) after each atom.
Atoms (fractional coordinates):
Sr (0.1590, 0.4001, 0.2354)  4 O 2.39-2.66
Sr (0.8410, 0.5999, 0.7645)  4 O 2.39-2.66
I (0.2664, 0.3562, 0.5419)  4 O 1.78-1.81
I (0.2911, 0.7526, 0.9698)  6 O 1.83-1.93
I (0.7089, 0.2474, 0.0302)  6 O 1.83-1.93
I (0.7336, 0.6438, 0.4581)  4 O 1.78-1.81
O (0.0331, 0.0265, 0.6880)  1 O 1.21
O (0.0513, 0.7325, 0.8948)  1 I 1.84
O (0.0900, 0.2684, 0.4654)  1 I 1.81
O (0.0922, 0.4802, 0.0032)  1 O 1.22
O (0.1022, 0.4546, 0.6496)  1 I 1.80
O (0.1460, 0.8636, 0.0909)  1 I 1.93
O (0.1522, 0.9854, 0.3298)  1 O 1.21
O (0.2621, 0.6129, 0.0884)  1 I 1.88
O (0.2636, 0.8807, 0.6085)  1 O 1.22
O (0.3465, 0.9221, 0.8992)  1 I 1.93
O (0.3998, 0.4500, 0.4065)  1 I 1.81
O (0.4396, 0.2541, 0.6226)  1 I 1.78
O (0.4421, 0.8791, 0.6403)  1 O 1.22
O (0.4828, 0.1855, 0.9503)  1 I 1.93
O (0.4876, 0.6792, 0.8497)  1 I 1.83
O (0.5124, 0.3208, 0.1503)  1 I 1.83
O (0.5172, 0.8145, 0.0497)  1 I 1.93
O (0.5579, 0.1209, 0.3597)  1 O 1.22
O (0.5604, 0.7459, 0.3774)  1 I 1.78
O (0.6002, 0.5500, 0.5935)  1 I 1.81
O (0.6535, 0.0779, 0.1008)  1 I 1.93
O (0.7364, 0.1193, 0.3915)  1 O 1.22
O (0.7379, 0.3871, 0.9116)  1 I 1.88
O (0.8478, 0.0146, 0.6702)  1 O 1.21
O (0.8540, 0.1364, 0.9091)  1 I 1.93
O (0.8978, 0.5454, 0.3504)  1 I 1.80
O (0.9078, 0.5198, 0.9968)  1 O 1.22
O (0.9100, 0.7316, 0.5346)  1 I 1.81
O (0.9487, 0.2675, 0.1052)  1 I 1.84
O (0.9669, 0.9735, 0.3120)  1 O 1.21